# GdTaO4 GGA-PBE optimized geometry
# MP2020-corrected energy, eV/atom: -11.315
# Formation enthalpy at 0 K, eV per atom: -3.695
data_GdTaO4
_chemical_formula_sum 'Gd2 Ta2 O8'
_space_group_name_H-M_alt 'P 1 2/c 1'
_space_group_IT_number 13
_space_group_name_Hall '-P 2yc'
_cell_length_a 5.207
_cell_length_b 5.583
_cell_length_c 5.395
_cell_angle_alpha 90.00
_cell_angle_beta 96.75
_cell_angle_gamma 90.00
loop_
_atom_site_label
_atom_site_fract_x
_atom_site_fract_y
_atom_site_fract_z
Gd1 0.000 0.233 0.250
Ta1 0.500 0.311 0.750
O1 0.252 0.090 0.605
O2 0.272 0.435 0.996